--- w ---
MgBi2O4: optimized geometry, PBE-GGA.

Calculated density: 7.6 g cm⁻³
Total magnetic moment: 0.00 μB per formula unit

a = 13.4353 Å, b = 3.3996 Å, c = 10.4668 Å
α = 90.00°, β = 112.62°, γ = 90.00°
Closest atoms and distances in Å follow each position.
Space group C2/m (No. 12)
Unique sites:
1 Mg 0.2381 0.0000 0.2440  6 O 2.07-2.26
2 Bi 0.1157 0.5000 0.4164  3 O 2.18-2.25
3 Bi 0.1176 0.0000 0.8934  3 O 2.20-2.23
4 O 0.0917 0.0000 0.2674  1 Mg 2.07, 2 Bi 2.25
5 O 0.1055 0.5000 0.7502  1 Mg 2.08, 2 Bi 2.23
6 O 0.2167 0.5000 0.1002  1 Bi 2.20, 2 Mg 2.21
7 O 0.2285 0.0000 0.6028  1 Bi 2.18, 2 Mg 2.26


--- x ---
MgBi2O4: optimized geometry, PBE-GGA.

Calculated density: 7.1 g cm⁻³
Total magnetic moment: 0.00 μB per formula unit

a = 6.8414 Å, b = 11.3131 Å, c = 6.1002 Å
α = 90.00°, β = 90.00°, γ = 90.00°
Closest atoms and distances in Å follow each position.
Space group Pmmn (No. 59, origin choice 2)
Unique sites:
1 Mg 0.2500 0.2500 0.0345  2 O 2.11
2 Mg 0.2500 0.7500 0.3600  2 O 2.02
3 Bi 0.0000 0.0000 0.5000  6 O 2.30-2.57
4 Bi 0.2500 0.5410 0.9939  3 O 2.21-2.27
5 O 0.0127 0.6289 0.1776  2 Bi 2.21-2.45, 1 Mg 2.40
6 O 0.2500 0.1038 0.2506  1 Mg 2.11, 1 Bi 2.27
7 O 0.2500 0.6253 0.5979  1 Mg 2.02


w is favored, and the nearest alternative lies 0.291 eV/atom above it.


--- w ---
Sr2CaI6: optimized geometry, PBE-GGA.

Calculated density: 4.2 g cm⁻³
Total magnetic moment: 0.00 μB per formula unit

a = 8.6385 Å, b = 15.4732 Å, c = 11.5156 Å
α = 90.00°, β = 97.05°, γ = 90.00°
Closest atoms and distances in Å follow each position.
Space group C2/c (No. 15)
Unique sites:
1 Sr 0.0413 0.1596 0.0409  6 I 3.27-3.40
2 Ca 0.0000 0.4538 0.7500  6 I 3.21-3.57
3 I 0.1022 0.3727 0.0391  2 Sr 3.34-3.36, 1 Ca 3.57
4 I 0.1707 0.0348 0.6442  1 Ca 3.21, 2 Sr 3.27-3.37
5 I 0.2435 0.3038 0.6964  1 Ca 3.24, 2 Sr 3.36-3.40


--- x ---
Sr2CaI6: optimized geometry, PBE-GGA.

Calculated density: 4.3 g cm⁻³
Total magnetic moment: 0.00 μB per formula unit

a = 7.6585 Å, b = 8.4912 Å, c = 13.8704 Å
α = 90.00°, β = 122.85°, γ = 90.00°
Closest atoms and distances in Å follow each position.
Space group P2_1/c (No. 14)
Unique sites:
1 Sr 0.2014 0.1075 0.2524  6 I 3.31-3.51
2 Ca 0.5000 0.0000 0.0000  6 I 3.09-3.14
3 I 0.0948 0.1806 0.9244  1 Ca 3.09, 2 Sr 3.33-3.42
4 I 0.2568 0.6819 0.9323  1 Ca 3.12, 1 Sr 3.36
5 I 0.3992 0.0469 0.7502  1 Ca 3.14, 2 Sr 3.31-3.35


x is favored, and the nearest alternative lies 0.065 eV/atom above it.


--- w ---
Sc: optimized geometry, PBE-GGA.

Calculated density: 3.2 g cm⁻³
Total magnetic moment: 0.01 μB per formula unit

a = 10.8830 Å, b = 5.0005 Å, c = 6.4014 Å
α = 90.00°, β = 125.97°, γ = 90.00°
Closest atoms and distances in Å follow each position.
Space group C2/c (No. 15)
Unique sites:
1 Sc 0.0000 0.0005 0.2500  14 Sc 3.20-3.39
2 Sc 0.1668 0.4807 0.1643  7 Sc 2.90-3.24


--- x ---
Sc: optimized geometry, PBE-GGA.

Calculated density: 2.8 g cm⁻³
Total magnetic moment: 0.95 μB per formula unit

a = 2.9894 Å, b = 2.9894 Å, c = 2.9894 Å
α = 90.00°, β = 90.00°, γ = 90.00°
Closest atoms and distances in Å follow each position.
Space group Pm-3m (No. 221)
Unique sites:
1 Sc 0.0000 0.0000 0.0000  6 Sc 2.99


w is favored, and the nearest alternative lies 0.653 eV/atom above it.


--- w ---
LiNb2Te4Cl10O: optimized geometry, PBE-GGA.

Calculated density: 3.1 g cm⁻³
Total magnetic moment: 0.97 μB per formula unit

a = 6.9671 Å, b = 8.9770 Å, c = 9.5808 Å
α = 81.10°, β = 88.56°, γ = 74.53°
Closest atoms and distances in Å follow each position.
Space group P1 (No. 1)
Unique sites:
1 Li 0.0000 0.0000 0.0000  4 Cl 2.44-2.47
2 Nb 0.6036 0.5970 0.6860  1 O 2.09
3 Nb 0.6320 0.8709 0.9593  1 O 1.81
4 Te 0.0212 0.0546 0.3586  2 Te 2.76
5 Te 0.2046 0.4319 0.3155  2 Te 2.75-2.76
6 Te 0.3095 0.1478 0.4887  2 Te 2.75-2.76
7 Te 0.9181 0.3390 0.1839  2 Te 2.76
8 Cl 0.2759 0.7688 0.6197  1 Nb 2.43
9 Cl 0.3088 0.0530 0.9088  1 Nb 2.41, 1 Li 2.44
10 Cl 0.4589 0.4603 0.8692  1 Nb 2.35
11 Cl 0.5083 0.7368 0.1551  1 Nb 2.34
12 Cl 0.5807 0.4260 0.5250  1 Nb 2.37
13 Cl 0.6932 0.0635 0.1328  1 Li 2.44, 1 Nb 2.69
14 Cl 0.7330 0.7625 0.5151  1 Nb 2.36
15 Cl 0.7824 0.0392 0.7949  1 Nb 2.43, 1 Li 2.44
16 Cl 0.9267 0.4526 0.7586  1 Nb 2.34
17 Cl 0.9738 0.7274 0.0391  1 Nb 2.46, 1 Li 2.47
18 O 0.6166 0.7455 0.8310  1 Nb 1.81


--- x ---
LiNb2Te4Cl10O: optimized geometry, PBE-GGA.

Calculated density: 3.1 g cm⁻³
Total magnetic moment: 0.99 μB per formula unit

a = 7.0005 Å, b = 9.1841 Å, c = 9.4067 Å
α = 81.06°, β = 89.67°, γ = 74.79°
Closest atoms and distances in Å follow each position.
Space group P1 (No. 1)
Unique sites:
1 Li 0.0000 0.0000 0.0000  4 Cl 2.31-2.42
2 Nb 0.0803 0.3982 0.7772  1 O 1.99
3 Nb 0.1184 0.6486 0.0624  1 O 1.85
4 Te 0.4056 0.1252 0.2638  2 Te 2.74-2.76
5 Te 0.5081 0.8451 0.4358  2 Te 2.74-2.75
6 Te 0.6757 0.2191 0.4149  2 Te 2.75-2.76
7 Te 0.7765 0.9387 0.5882  2 Te 2.75
8 Cl 0.0425 0.2175 0.6258  1 Nb 2.41
9 Cl 0.1394 0.8523 0.2268  1 Li 2.40, 1 Nb 2.64
10 Cl 0.2119 0.5477 0.6011  1 Nb 2.33
11 Cl 0.2429 0.8217 0.8839  1 Li 2.42, 1 Nb 2.45
12 Cl 0.3942 0.2383 0.8553  1 Nb 2.35
13 Cl 0.4461 0.5143 0.1443  1 Nb 2.37
14 Cl 0.7516 0.5569 0.7056  1 Nb 2.41
15 Cl 0.7931 0.8262 0.9985  1 Li 2.42, 1 Nb 2.44
16 Cl 0.9214 0.2631 0.9735  1 Li 2.31, 1 Nb 2.49
17 Cl 0.9798 0.5199 0.2519  1 Nb 2.33
18 O 0.0973 0.5280 0.9254  2 Nb 1.85-1.99


x is favored, and the nearest alternative lies 0.007 eV/atom above it.


--- w ---
LiCuPO4: optimized geometry, PBE-GGA.

Calculated density: 3.3 g cm⁻³
Total magnetic moment: 0.00 μB per formula unit

a = 7.6598 Å, b = 8.9980 Å, c = 4.8614 Å
α = 90.00°, β = 90.00°, γ = 90.00°
Closest atoms and distances in Å follow each position.
Space group Pna2_1 (No. 33)
Unique sites:
1 Li 0.0414 0.1302 0.0000  3 O 2.02-2.06
2 Cu 0.1653 0.5424 0.0030  4 O 1.94-2.12
3 P 0.2287 0.3546 0.5959  4 O 1.52-1.60
4 O 0.0536 0.4322 0.7029  1 P 1.60
5 O 0.1355 0.9605 0.2424  1 P 1.58
6 O 0.2255 0.1964 0.7247  1 P 1.56
7 O 0.2491 0.8489 0.7860  1 P 1.52


--- x ---
LiCuPO4: optimized geometry, PBE-GGA.

Calculated density: 2.8 g cm⁻³
Total magnetic moment: 1.00 μB per formula unit

a = 6.8007 Å, b = 6.9967 Å, c = 16.3852 Å
α = 90.00°, β = 90.28°, γ = 90.00°
Closest atoms and distances in Å follow each position.
Space group C2/c (No. 15)
Unique sites:
1 Li 0.1131 0.2243 0.0626  3 O 1.89-2.02
2 Cu 0.2496 0.0847 0.2497  4 O 1.94-2.00
3 P 0.0217 0.1672 0.8643  4 O 1.51-1.61
4 O 0.0925 0.0243 0.1497  1 P 1.57
5 O 0.1026 0.3481 0.6529  1 P 1.55
6 O 0.1108 0.1744 0.9490  1 P 1.51
7 O 0.2000 0.1656 0.8002  1 P 1.61


--- y ---
LiCuPO4: optimized geometry, PBE-GGA.

Calculated density: 3.1 g cm⁻³
Total magnetic moment: 1.00 μB per formula unit

a = 5.1258 Å, b = 8.8910 Å, c = 7.9538 Å
α = 90.00°, β = 96.91°, γ = 90.00°
Closest atoms and distances in Å follow each position.
Space group Cc (No. 9)
Unique sites:
1 Li 0.0000 0.0971 0.0000  3 O 1.97-1.99
2 Cu 0.0094 0.3345 0.6747  3 O 1.88-1.96
3 P 0.4383 0.1389 0.7834  4 O 1.52-1.58
4 O 0.2352 0.3801 0.2998  1 P 1.52
5 O 0.2878 0.0129 0.2381  1 P 1.57
6 O 0.3272 0.1986 0.9473  1 P 1.58
7 O 0.3423 0.2566 0.6439  1 P 1.56


x is favored, and the nearest alternative lies 0.012 eV/atom above it.


--- w ---
LiCuPO4: optimized geometry, PBE-GGA.

Calculated density: 3.7 g cm⁻³
Total magnetic moment: 1.00 μB per formula unit

a = 5.5646 Å, b = 10.9336 Å, c = 9.7284 Å
α = 90.00°, β = 90.00°, γ = 90.00°
Closest atoms and distances in Å follow each position.
Space group Fdd2 (No. 43)
Unique sites:
1 Li 0.0000 0.0000 0.0000  2 O 2.03
2 Cu 0.0000 0.0000 0.6522  4 O 1.92-2.06
3 P 0.0000 0.0000 0.3003  4 O 1.55-1.56
4 O 0.0787 0.3236 0.4538  1 P 1.56
5 O 0.1029 0.1672 0.6489  1 P 1.55


--- x ---
LiCuPO4: optimized geometry, PBE-GGA.

Calculated density: 3.1 g cm⁻³
Total magnetic moment: 1.00 μB per formula unit

a = 8.0378 Å, b = 5.2947 Å, c = 8.4836 Å
α = 90.00°, β = 104.19°, γ = 90.00°
Closest atoms and distances in Å follow each position.
Space group Pc (No. 7)
Unique sites:
1 Li 0.0000 0.1380 0.0000  4 O 1.95-2.07
2 Li 0.4559 0.3269 0.2844  3 O 1.94-1.97
3 Cu 0.0856 0.3467 0.3600  4 O 1.90-2.12
4 Cu 0.5991 0.1666 0.6947  4 O 1.91-1.98
5 P 0.2237 0.1771 0.7401  4 O 1.55-1.56
6 P 0.7163 0.3343 0.0631  4 O 1.54-1.56
7 O 0.0951 0.1971 0.5704  1 P 1.56
8 O 0.1412 0.2960 0.8715  1 P 1.56
9 O 0.2595 0.1052 0.2817  1 P 1.55
10 O 0.3900 0.3230 0.7374  1 P 1.55
11 O 0.5784 0.1914 0.1276  1 P 1.55
12 O 0.6625 0.3873 0.5299  1 P 1.54
13 O 0.7484 0.2128 0.9052  1 P 1.56
14 O 0.8957 0.2885 0.1797  1 P 1.56


w is favored, and the nearest alternative lies 0.030 eV/atom above it.